Entry 1:
Here is crystalline LiMn2B2O6 at its relaxed geometry from the Materials Project database. Energies are from PBE with a Hubbard U.

abc: 5.275 5.824 9.047
angles: 100.95 91.14 113.46
Positions (direct):
Li (0.921, 0.657, 0.524)
Li (0.421, 0.657, 0.024)
Mn (0.524, 0.244, 0.302)
Mn (0.962, 0.745, 0.191)
Mn (0.025, 0.244, 0.802)
Mn (0.463, 0.745, 0.691)
B (0.045, 0.259, 0.138)
B (0.545, 0.259, 0.638)
B (0.954, 0.746, 0.864)
B (0.454, 0.746, 0.364)
O (0.864, 0.379, 0.177)
O (0.365, 0.379, 0.677)
O (0.081, 0.114, 0.239)
O (0.581, 0.114, 0.738)
O (0.695, 0.297, 0.519)
O (0.195, 0.297, 0.019)
O (0.301, 0.726, 0.486)
O (0.801, 0.726, 0.986)
O (0.873, 0.824, 0.740)
O (0.373, 0.823, 0.240)
O (0.678, 0.678, 0.355)
O (0.178, 0.678, 0.855)

Values from the calculation:
Piezoelectric modulus e_max = 0.52 C/m2
E above lowest polymorph = 0.003 eV per atom
E_tot = -7.5039 eV per atom

Entry 2:
Here is crystalline LiMn2B2O6 at its relaxed geometry from the Materials Project database. Energies are from PBE with a Hubbard U.

abc: 5.236 5.236 10.592
angles: 90.53 90.53 118.38
Positions (direct):
Li (0.031, 0.969, 0.500)
Li (0.969, 0.031, 0.000)
Mn (0.204, 0.513, 0.854)
Mn (0.440, 0.803, 0.115)
Mn (0.513, 0.204, 0.354)
Mn (0.803, 0.440, 0.615)
B (0.141, 0.517, 0.370)
B (0.474, 0.828, 0.609)
B (0.517, 0.141, 0.870)
B (0.828, 0.474, 0.109)
O (0.072, 0.470, 0.053)
O (0.168, 0.277, 0.384)
O (0.218, 0.631, 0.666)
O (0.277, 0.168, 0.884)
O (0.317, 0.750, 0.293)
O (0.470, 0.072, 0.553)
O (0.551, 0.922, 0.936)
O (0.631, 0.218, 0.166)
O (0.712, 0.791, 0.609)
O (0.750, 0.317, 0.793)
O (0.791, 0.712, 0.109)
O (0.922, 0.551, 0.436)

Values from the calculation:
E above lowest polymorph = 0.007 eV per atom
E_tot = -7.4995 eV per atom
Crystal system = monoclinic

Entry 3:
Here is crystalline Li2Mn3B3O9 at its relaxed geometry from the Materials Project database. Energies are from PBE with a Hubbard U.

abc: 5.267 5.307 15.469
angles: 93.22 90.62 119.41
Positions (direct):
Li (0.007, 0.178, 0.111)
Li (0.313, 0.819, 0.435)
Li (0.687, 0.181, 0.565)
Li (0.993, 0.822, 0.889)
Mn (0.033, 0.167, 0.751)
Mn (0.340, 0.521, 0.587)
Mn (0.344, 0.817, 0.085)
Mn (0.656, 0.183, 0.915)
Mn (0.660, 0.479, 0.413)
Mn (0.967, 0.833, 0.249)
B (0.008, 0.849, 0.582)
B (0.334, 0.823, 0.756)
B (0.342, 0.524, 0.915)
B (0.658, 0.476, 0.085)
B (0.666, 0.177, 0.244)
B (0.992, 0.151, 0.418)
O (0.020, 0.913, 0.382)
O (0.075, 0.824, 0.766)
O (0.088, 0.265, 0.884)
O (0.243, 0.410, 0.443)
O (0.279, 0.885, 0.567)
O (0.303, 0.758, 0.945)
O (0.317, 0.567, 0.721)
O (0.392, 0.454, 0.087)
O (0.399, 0.947, 0.219)
O (0.601, 0.053, 0.781)
O (0.608, 0.546, 0.913)
O (0.683, 0.433, 0.279)
O (0.697, 0.242, 0.055)
O (0.721, 0.115, 0.433)
O (0.757, 0.590, 0.557)
O (0.912, 0.735, 0.116)
O (0.925, 0.176, 0.234)
O (0.980, 0.087, 0.618)

Values from the calculation:
E above lowest polymorph = 0.017 eV per atom
E_tot = -7.4268 eV per atom
Crystal system = triclinic

Entry 4:
Here is crystalline Li5Mn6B6O18 at its relaxed geometry from the Materials Project database. Energies are from PBE with a Hubbard U.

abc: 8.860 8.860 14.353
angles: 90.47 90.47 42.13
Positions (direct):
Li (0.000, 0.000, 0.000)
Li (0.013, 0.013, 0.710)
Li (0.039, 0.039, 0.341)
Li (0.250, 0.250, 0.499)
Li (0.263, 0.263, 0.210)
Li (0.290, 0.290, 0.842)
Li (0.500, 0.500, 0.000)
Li (0.539, 0.539, 0.342)
Li (0.750, 0.750, 0.501)
Li (0.789, 0.789, 0.841)
Mn (0.084, 0.589, 0.034)
Mn (0.105, 0.598, 0.665)
Mn (0.113, 0.618, 0.351)
Mn (0.339, 0.834, 0.534)
Mn (0.354, 0.848, 0.165)
Mn (0.368, 0.863, 0.851)
Mn (0.589, 0.084, 0.034)
Mn (0.598, 0.105, 0.665)
Mn (0.618, 0.113, 0.351)
Mn (0.834, 0.339, 0.534)
Mn (0.848, 0.354, 0.165)
Mn (0.863, 0.368, 0.851)
B (0.179, 0.688, 0.853)
B (0.184, 0.184, 0.016)
B (0.185, 0.185, 0.684)
B (0.429, 0.938, 0.352)
B (0.432, 0.432, 0.514)
B (0.435, 0.435, 0.183)
B (0.682, 0.682, 0.014)
B (0.688, 0.179, 0.853)
B (0.688, 0.688, 0.682)
B (0.935, 0.935, 0.516)
B (0.938, 0.429, 0.352)
B (0.938, 0.938, 0.182)
O (0.012, 0.012, 0.477)
O (0.015, 0.015, 0.144)
O (0.020, 0.482, 0.298)
O (0.106, 0.606, 0.811)
O (0.114, 0.114, 0.630)
O (0.116, 0.116, 0.959)
O (0.177, 0.177, 0.113)
O (0.179, 0.179, 0.780)
O (0.192, 0.688, 0.950)
O (0.232, 0.770, 0.799)
O (0.260, 0.260, 0.641)
O (0.262, 0.262, 0.977)
O (0.357, 0.856, 0.311)
O (0.364, 0.364, 0.455)
O (0.365, 0.365, 0.130)
O (0.422, 0.422, 0.610)
O (0.429, 0.429, 0.280)
O (0.441, 0.939, 0.450)
O (0.482, 0.020, 0.298)
O (0.510, 0.510, 0.141)
O (0.510, 0.510, 0.476)
O (0.606, 0.106, 0.811)
O (0.614, 0.614, 0.955)
O (0.622, 0.622, 0.622)
O (0.673, 0.673, 0.109)
O (0.679, 0.679, 0.778)
O (0.688, 0.192, 0.950)
O (0.760, 0.760, 0.976)
O (0.765, 0.765, 0.644)
O (0.770, 0.232, 0.799)
O (0.856, 0.357, 0.311)
O (0.866, 0.866, 0.459)
O (0.872, 0.872, 0.122)
O (0.927, 0.927, 0.612)
O (0.928, 0.928, 0.278)
O (0.939, 0.441, 0.450)

Values from the calculation:
E above lowest polymorph = 0.013 eV per atom
E_tot = -7.3632 eV per atom
Crystal system = monoclinic

| no. | ΔE_f (eV/atom) |
| --- | --- |
| 1 | -2.4292 |
| 2 | -2.4248 |
| 3 | -2.4453 |
| 4 | -2.4694 |